A plane-wave DFT calculation with meta-GGA r2SCAN was carried out for Y3Ni after structural relaxation.

```
data_Y3Ni
_chemical_formula_sum 'Y12 Ni4'
_cell_length_a 6.328
_cell_length_b 6.873
_cell_length_c 9.813
_cell_angle_alpha 90.00
_cell_angle_beta 90.00
_cell_angle_gamma 90.00
_symmetry_space_group_name_H-M 'P 1'
_symmetry_Int_Tables_number 1
_symmetry_space_group_name_Hall 'P 1'
loop_
_atom_site_label
_atom_site_fract_x
_atom_site_fract_y
_atom_site_fract_z
Y1 0.853 0.539 0.250
Y2 0.320 0.670 0.069
Y3 0.820 0.830 0.569
Ni1 0.944 0.116 0.750
Ni2 0.444 0.384 0.250
Y4 0.820 0.830 0.931
Ni3 0.056 0.884 0.250
Y5 0.647 0.039 0.250
Y6 0.147 0.461 0.750
Y7 0.680 0.330 0.931
Y8 0.680 0.330 0.569
Y9 0.180 0.170 0.069
Y10 0.353 0.961 0.750
Y11 0.320 0.670 0.431
Y12 0.180 0.170 0.431
Ni4 0.556 0.616 0.750
```

Calculated values
DFT total energy = -18.4355 eV per atom
volume = 427 Å³/cell
space group = Pnma (62)
total magnetization = 0.8 μB/f.u.

---

A plane-wave DFT calculation with meta-GGA r2SCAN was carried out for Y15Ni32 after structural relaxation.

```
data_Y15Ni32
_chemical_formula_sum 'Y15 Ni32'
_cell_length_a 10.046
_cell_length_b 10.046
_cell_length_c 10.046
_cell_angle_alpha 60.00
_cell_angle_beta 60.00
_cell_angle_gamma 60.00
_symmetry_space_group_name_H-M 'P 1'
_symmetry_Int_Tables_number 1
_symmetry_space_group_name_Hall 'P 1'
loop_
_atom_site_label
_atom_site_fract_x
_atom_site_fract_y
_atom_site_fract_z
Y1 0.486 0.486 0.014
Ni1 0.807 0.326 0.059
Y2 0.627 0.627 0.119
Ni2 0.807 0.807 0.326
Ni3 0.313 0.563 0.812
Y3 0.627 0.119 0.627
Ni4 0.563 0.313 0.313
Ni5 0.807 0.807 0.059
Y4 0.119 0.627 0.627
Ni6 0.812 0.812 0.564
Y5 0.486 0.014 0.486
Ni7 0.326 0.807 0.059
Y6 0.014 0.014 0.486
Ni8 0.564 0.812 0.812
Ni9 0.313 0.812 0.313
Ni10 0.807 0.326 0.807
Ni11 0.326 0.059 0.807
Ni12 0.326 0.807 0.807
Ni13 0.313 0.563 0.313
Y7 0.500 0.500 0.500
Ni14 0.059 0.326 0.807
Ni15 0.066 0.311 0.311
Ni16 0.807 0.059 0.326
Y8 0.014 0.486 0.486
Y9 0.704 0.099 0.099
Ni17 0.812 0.563 0.313
Ni18 0.059 0.807 0.326
Y10 0.486 0.014 0.014
Ni19 0.563 0.812 0.313
Y11 0.014 0.486 0.014
Y12 0.099 0.704 0.099
Ni20 0.807 0.059 0.807
Ni21 0.812 0.313 0.563
Ni22 0.311 0.311 0.311
Ni23 0.812 0.313 0.313
Ni24 0.311 0.066 0.311
Y13 0.099 0.099 0.099
Y14 0.099 0.099 0.704
Ni25 0.812 0.564 0.812
Ni26 0.563 0.313 0.812
Ni27 0.313 0.313 0.812
Ni28 0.059 0.807 0.807
Ni29 0.313 0.313 0.563
Ni30 0.311 0.311 0.066
Ni31 0.812 0.812 0.812
Ni32 0.313 0.812 0.563
Y15 0.627 0.627 0.627
```

Calculated values
DFT total energy = -15.0110 eV per atom
volume = 717 Å³/cell
space group = F-43m (216)
total magnetization = 0.0 μB/f.u.

---

A plane-wave DFT calculation with meta-GGA r2SCAN was carried out for YbNi after structural relaxation.

```
data_YbNi
_chemical_formula_sum 'Yb4 Ni4'
_cell_length_a 4.031
_cell_length_b 5.317
_cell_length_c 6.926
_cell_angle_alpha 90.00
_cell_angle_beta 90.00
_cell_angle_gamma 90.00
_symmetry_space_group_name_H-M 'P 1'
_symmetry_Int_Tables_number 1
_symmetry_space_group_name_Hall 'P 1'
loop_
_atom_site_label
_atom_site_fract_x
_atom_site_fract_y
_atom_site_fract_z
Ni1 0.750 0.125 0.465
Yb1 0.250 0.367 0.680
Yb2 0.250 0.133 0.180
Yb3 0.750 0.633 0.320
Ni2 0.750 0.375 0.965
Yb4 0.750 0.867 0.820
Ni3 0.250 0.625 0.035
Ni4 0.250 0.875 0.535
```

Calculated values
DFT total energy = -24.7516 eV per atom
volume = 148 Å³/cell
space group = Pnma (62)
total magnetization = 0.0 μB/f.u.

---

A plane-wave DFT calculation with meta-GGA r2SCAN was carried out for ZnNi after structural relaxation.

```
data_ZnNi
_chemical_formula_sum 'Zn2 Ni2'
_cell_length_a 3.182
_cell_length_b 3.814
_cell_length_c 3.814
_cell_angle_alpha 90.00
_cell_angle_beta 90.00
_cell_angle_gamma 90.00
_symmetry_space_group_name_H-M 'P 1'
_symmetry_Int_Tables_number 1
_symmetry_space_group_name_Hall 'P 1'
loop_
_atom_site_label
_atom_site_fract_x
_atom_site_fract_y
_atom_site_fract_z
Ni1 0.000 0.500 0.500
Zn1 0.500 0.500 0.000
Ni2 0.000 0.000 0.000
Zn2 0.500 0.000 0.500
```

Calculated values
DFT total energy = -10.6873 eV per atom
volume = 46 Å³/cell
total magnetization = 0.0 μB/f.u.

---

A plane-wave DFT calculation with meta-GGA r2SCAN was carried out for Zn22Ni3 after structural relaxation.

```
data_Zn22Ni3
_chemical_formula_sum 'Zn22 Ni3'
_cell_length_a 7.325
_cell_length_b 7.571
_cell_length_c 7.548
_cell_angle_alpha 108.49
_cell_angle_beta 119.02
_cell_angle_gamma 90.00
_symmetry_space_group_name_H-M 'P 1'
_symmetry_Int_Tables_number 1
_symmetry_space_group_name_Hall 'P 1'
loop_
_atom_site_label
_atom_site_fract_x
_atom_site_fract_y
_atom_site_fract_z
Zn1 0.649 0.274 0.299
Ni1 0.657 0.946 0.315
Zn2 0.655 0.311 0.915
Zn3 0.315 0.376 0.629
Zn4 0.977 0.462 0.314
Zn5 0.259 0.311 0.915
Zn6 0.324 0.000 0.000
Zn7 0.663 0.538 0.686
Zn8 0.382 0.098 0.384
Zn9 0.351 0.726 0.701
Zn10 0.345 0.689 0.085
Zn11 0.979 0.825 0.957
Zn12 0.169 0.783 0.339
Zn13 0.023 0.538 0.686
Zn14 0.741 0.689 0.085
Zn15 0.676 0.000 0.000
Ni2 0.343 0.054 0.685
Zn16 0.021 0.175 0.043
Ni3 0.000 0.500 0.000
Zn17 0.998 0.902 0.616
Zn18 0.685 0.624 0.371
Zn19 0.618 0.902 0.616
Zn20 0.337 0.462 0.314
Zn21 0.002 0.098 0.384
Zn22 0.831 0.217 0.661
```

Calculated values
DFT total energy = -9.3992 eV per atom
volume = 341 Å³/cell
space group = C2/m (12)
total magnetization = 0.0 μB/f.u.

---

A plane-wave DFT calculation with meta-GGA r2SCAN was carried out for Zn11Ni2 after structural relaxation.

```
data_Zn11Ni2
_chemical_formula_sum 'Zn22 Ni4'
_cell_length_a 7.640
_cell_length_b 7.640
_cell_length_c 7.640
_cell_angle_alpha 109.47
_cell_angle_beta 109.47
_cell_angle_gamma 109.47
_symmetry_space_group_name_H-M 'P 1'
_symmetry_Int_Tables_number 1
_symmetry_space_group_name_Hall 'P 1'
loop_
_atom_site_label
_atom_site_fract_x
_atom_site_fract_y
_atom_site_fract_z
Zn1 0.386 0.649 0.649
Ni1 0.000 0.000 0.657
Ni2 0.000 0.657 0.000
Zn2 0.351 0.737 0.000
Zn3 0.645 0.645 0.000
Zn4 0.355 0.355 0.000
Zn5 0.000 0.351 0.737
Zn6 0.000 0.210 0.000
Zn7 0.737 0.000 0.351
Zn8 0.355 0.000 0.355
Zn9 0.645 0.000 0.645
Zn10 0.000 0.000 0.210
Zn11 0.737 0.351 0.000
Zn12 0.649 0.649 0.386
Zn13 0.790 0.790 0.790
Zn14 0.649 0.386 0.649
Ni3 0.657 0.000 0.000
Zn15 0.263 0.614 0.263
Zn16 0.000 0.645 0.645
Ni4 0.343 0.343 0.343
Zn17 0.263 0.263 0.614
Zn18 0.000 0.737 0.351
Zn19 0.210 0.000 0.000
Zn20 0.614 0.263 0.263
Zn21 0.000 0.355 0.355
Zn22 0.351 0.000 0.737
```

Calculated values
DFT total energy = -9.5445 eV per atom
volume = 343 Å³/cell
space group = I-43m (217)
total magnetization = 0.0 μB/f.u.

---

A plane-wave DFT calculation with meta-GGA r2SCAN was carried out for ZrZnNi4 after structural relaxation.

```
data_ZrZnNi4
_chemical_formula_sum 'Zr1 Zn1 Ni4'
_cell_length_a 4.744
_cell_length_b 4.744
_cell_length_c 4.744
_cell_angle_alpha 60.00
_cell_angle_beta 60.00
_cell_angle_gamma 60.00
_symmetry_space_group_name_H-M 'P 1'
_symmetry_Int_Tables_number 1
_symmetry_space_group_name_Hall 'P 1'
loop_
_atom_site_label
_atom_site_fract_x
_atom_site_fract_y
_atom_site_fract_z
Ni1 0.128 0.624 0.624
Ni2 0.624 0.624 0.624
Ni3 0.624 0.624 0.128
Zn1 0.250 0.250 0.250
Zr1 0.000 0.000 0.000
Ni4 0.624 0.128 0.624
```

Calculated values
DFT total energy = -13.6642 eV per atom
volume = 76 Å³/cell
space group = F-43m (216)
total magnetization = 0.0 μB/f.u.

---

A plane-wave DFT calculation with meta-GGA r2SCAN was carried out for ZrNi3 after structural relaxation.

```
data_ZrNi3
_chemical_formula_sum 'Zr2 Ni6'
_cell_length_a 5.265
_cell_length_b 5.265
_cell_length_c 4.269
_cell_angle_alpha 90.00
_cell_angle_beta 90.00
_cell_angle_gamma 120.00
_symmetry_space_group_name_H-M 'P 1'
_symmetry_Int_Tables_number 1
_symmetry_space_group_name_Hall 'P 1'
loop_
_atom_site_label
_atom_site_fract_x
_atom_site_fract_y
_atom_site_fract_z
Ni1 0.844 0.156 0.250
Ni2 0.312 0.156 0.250
Ni3 0.156 0.312 0.750
Ni4 0.844 0.688 0.250
Zr1 0.333 0.667 0.250
Ni5 0.688 0.844 0.750
Zr2 0.667 0.333 0.750
Ni6 0.156 0.844 0.750
```

Calculated values
DFT total energy = -15.1161 eV per atom
volume = 102 Å³/cell
space group = P6_3/mmc (194)
total magnetization = 0.0 μB/f.u.

---

A plane-wave DFT calculation with meta-GGA r2SCAN was carried out for Zr7Ni10 after structural relaxation.

```
data_Zr7Ni10
_chemical_formula_sum 'Zr14 Ni20'
_cell_length_a 7.673
_cell_length_b 7.673
_cell_length_c 9.113
_cell_angle_alpha 90.00
_cell_angle_beta 90.00
_cell_angle_gamma 107.03
_symmetry_space_group_name_H-M 'P 1'
_symmetry_Int_Tables_number 1
_symmetry_space_group_name_Hall 'P 1'
loop_
_atom_site_label
_atom_site_fract_x
_atom_site_fract_y
_atom_site_fract_z
Ni1 0.562 0.853 0.007
Zr1 0.309 0.691 0.500
Ni2 0.938 0.647 0.507
Ni3 0.606 0.606 0.605
Zr2 0.500 0.500 0.000
Ni4 0.639 0.347 0.207
Ni5 0.647 0.938 0.507
Zr3 0.809 0.191 0.000
Ni6 0.847 0.139 0.293
Zr4 0.186 0.186 0.187
Ni7 0.347 0.639 0.207
Ni8 0.147 0.438 0.993
Zr5 0.001 0.501 0.750
Zr6 0.501 0.001 0.750
Ni9 0.894 0.894 0.105
Zr7 0.691 0.309 0.500
Ni10 0.106 0.106 0.895
Ni11 0.062 0.353 0.493
Ni12 0.139 0.847 0.293
Zr8 0.000 0.000 0.500
Ni13 0.353 0.062 0.493
Zr9 0.314 0.314 0.687
Zr10 0.191 0.809 0.000
Ni14 0.853 0.562 0.007
Zr11 0.499 0.999 0.250
Zr12 0.814 0.814 0.813
Ni15 0.361 0.653 0.793
Ni16 0.438 0.147 0.993
Ni17 0.153 0.861 0.707
Zr13 0.686 0.686 0.313
Ni18 0.394 0.394 0.395
Ni19 0.861 0.153 0.707
Zr14 0.999 0.499 0.250
Ni20 0.653 0.361 0.793
```

Calculated values
DFT total energy = -16.8529 eV per atom
volume = 513 Å³/cell
space group = Cmce (64)
total magnetization = 0.0 μB/f.u.

---

A plane-wave DFT calculation with meta-GGA r2SCAN was carried out for Zr2Ni7 after structural relaxation.

```
data_Zr2Ni7
_chemical_formula_sum 'Zr4 Ni14'
_cell_length_a 4.643
_cell_length_b 4.691
_cell_length_c 12.055
_cell_angle_alpha 87.25
_cell_angle_beta 84.44
_cell_angle_gamma 60.34
_symmetry_space_group_name_H-M 'P 1'
_symmetry_Int_Tables_number 1
_symmetry_space_group_name_Hall 'P 1'
loop_
_atom_site_label
_atom_site_fract_x
_atom_site_fract_y
_atom_site_fract_z
Ni1 0.539 0.333 0.422
Ni2 0.873 0.667 0.422
Ni3 0.372 0.667 0.922
Ni4 0.961 0.667 0.078
Zr1 0.777 0.000 0.614
Ni5 0.250 0.500 0.750
Zr2 0.223 0.000 0.386
Ni6 0.750 0.500 0.250
Ni7 0.628 0.333 0.078
Ni8 0.750 0.500 0.750
Ni9 0.750 0.000 0.250
Zr3 0.278 0.000 0.114
Zr4 0.722 0.000 0.886
Ni10 0.250 0.500 0.250
Ni11 0.127 0.333 0.578
Ni12 0.461 0.667 0.578
Ni13 0.039 0.333 0.922
Ni14 0.250 0.000 0.750
```

Calculated values
DFT total energy = -14.7782 eV per atom
volume = 227 Å³/cell
total magnetization = 0.0 μB/f.u.

---

A plane-wave DFT calculation with meta-GGA r2SCAN was carried out for RbNpO3 after structural relaxation.

```
data_RbNpO3
_chemical_formula_sum 'Rb1 Np1 O3'
_cell_length_a 4.306
_cell_length_b 4.306
_cell_length_c 4.305
_cell_angle_alpha 90.28
_cell_angle_beta 90.29
_cell_angle_gamma 89.68
_symmetry_space_group_name_H-M 'P 1'
_symmetry_Int_Tables_number 1
_symmetry_space_group_name_Hall 'P 1'
loop_
_atom_site_label
_atom_site_fract_x
_atom_site_fract_y
_atom_site_fract_z
O1 0.500 0.500 0.000
Np1 0.500 0.500 0.500
O2 0.000 0.500 0.500
O3 0.500 0.000 0.500
Rb1 0.000 0.000 0.000
```

Calculated values
DFT total energy = -25.9842 eV per atom
volume = 80 Å³/cell
space group = R-3m (166)
total magnetization = 2.0 μB/f.u.

---

A plane-wave DFT calculation with meta-GGA r2SCAN was carried out for NpSO after structural relaxation.

```
data_NpSO
_chemical_formula_sum 'Np2 S2 O2'
_cell_length_a 3.826
_cell_length_b 3.826
_cell_length_c 6.642
_cell_angle_alpha 90.00
_cell_angle_beta 90.00
_cell_angle_gamma 90.00
_symmetry_space_group_name_H-M 'P 1'
_symmetry_Int_Tables_number 1
_symmetry_space_group_name_Hall 'P 1'
loop_
_atom_site_label
_atom_site_fract_x
_atom_site_fract_y
_atom_site_fract_z
S1 0.750 0.750 0.636
Np1 0.250 0.250 0.805
S2 0.250 0.250 0.364
O1 0.250 0.750 0.000
Np2 0.750 0.750 0.195
O2 0.750 0.250 0.000
```

Calculated values
DFT total energy = -35.1390 eV per atom
volume = 97 Å³/cell
space group = P4/nmm (129)
total magnetization = 3.0 μB/f.u.

---

Calculated energy relative to the elements, -0.20, -0.37, -0.50, -0.24, -0.12, -0.16, -0.40, -0.44, -0.44, -0.40, -3.01, -2.80 eV/atom (same order as the records).